Entry 1:
# K PBE optimized geometry
# Electronic total energy = -1.08 eV/atom
# Calculated density = 0.88 g cm⁻³
# Formation energy = 32 meV/atom
# V = 1183.5 Å³/cell
data_K
_cell_length_a 14.816
_cell_length_b 8.961
_cell_length_c 8.915
_cell_angle_alpha 90.00
_cell_angle_beta 90.00
_cell_angle_gamma 90.00
_symmetry_space_group_name_H-M 'C m c e'
_symmetry_Int_Tables_number 64
_symmetry_space_group_name_Hall '-C 2ac 2'
loop_
_atom_site_label
_atom_site_type_symbol
_atom_site_fract_x
_atom_site_fract_y
_atom_site_fract_z
_atom_site_occupancy
K1 K 0.000 0.181 0.180 1
K2 K 0.221 0.000 0.500 1

Entry 2:
# K PBE optimized geometry
# Electronic total energy = -1.05 eV/atom
# Calculated density = 0.81 g cm⁻³
# Formation energy = 64 meV/atom
# V = 641.8 Å³/cell
data_K
_cell_length_a 10.817
_cell_length_b 5.432
_cell_length_c 10.922
_cell_angle_alpha 90.00
_cell_angle_beta 90.00
_cell_angle_gamma 90.00
_symmetry_space_group_name_H-M 'P n m a'
_symmetry_Int_Tables_number 62
_symmetry_space_group_name_Hall '-P 2ac 2n'
loop_
_atom_site_label
_atom_site_type_symbol
_atom_site_fract_x
_atom_site_fract_y
_atom_site_fract_z
_atom_site_occupancy
K1 K 0.030 0.250 0.161 1
K2 K 0.154 0.250 0.568 1

Entry 3:
# K PBE optimized geometry
# Electronic total energy = -1.10 eV/atom
# Calculated density = 0.87 g cm⁻³
# Formation energy = 12 meV/atom
# V = 148.8 Å³/cell
data_K
_cell_length_a 4.7582
_cell_length_b 4.7582
_cell_length_c 7.5866
_cell_angle_alpha 90.00
_cell_angle_beta 90.00
_cell_angle_gamma 120.00
_symmetry_space_group_name_H-M 'P 63/m m c'
_symmetry_Int_Tables_number 194
_symmetry_space_group_name_Hall '-P 6c 2c'
loop_
_atom_site_label
_atom_site_type_symbol
_atom_site_fract_x
_atom_site_fract_y
_atom_site_fract_z
_atom_site_occupancy
K1 K 0.3333 0.6667 0.2500 1

Entry 4:
# K PBE optimized geometry
# Electronic total energy = -0.93 eV/atom
# Calculated density = 0.65 g cm⁻³
# Formation energy = 179 meV/atom
# V = 1004.6 Å³/cell
data_K
_cell_length_a 8.920
_cell_length_b 13.006
_cell_length_c 8.659
_cell_angle_alpha 90.00
_cell_angle_beta 90.00
_cell_angle_gamma 90.00
_symmetry_space_group_name_H-M 'C m m m'
_symmetry_Int_Tables_number 65
_symmetry_space_group_name_Hall '-C 2 2'
loop_
_atom_site_label
_atom_site_type_symbol
_atom_site_fract_x
_atom_site_fract_y
_atom_site_fract_z
_atom_site_occupancy
K1 K 0.000 0.000 0.000 1
K2 K 0.250 0.250 0.253 1